No. 1
Computed, not measured: a relaxed Li3Bi2P3O12 crystal at the PBE level of DFT.

## Properties
**Space group**: P2_1/c
**ρ**: 4.229 g/cm3
**Distance to the lowest polymorph of the same formula**: 0 meV/atom
**E_form**: -2.513 eV/atom
**Crystal system**: monoclinic

```
Li3Bi2P3O12
1.0
-5.4599 4.0188 6.2686
0.1151 -7.7189 5.0488
10.8717 -3.0080 11.3975
P O Bi Li
12 48 8 12
direct
0.5852 0.2650 0.3363
0.3919 0.0583 0.8391
0.4148 0.7350 0.6637
0.9148 0.2650 0.8363
0.6081 0.9417 0.1609
0.8919 0.9417 0.6609
0.7591 0.5791 0.4914
0.0852 0.7350 0.1637
0.2591 0.4209 0.0086
0.2409 0.4209 0.5086
0.7409 0.5791 0.9914
0.1081 0.0583 0.3391
0.6512 0.4279 0.5408
0.0921 0.8915 0.1762
0.3895 0.9024 0.9502
0.6664 0.5889 0.0753
0.8943 0.7660 0.6680
0.8718 0.5662 0.4238
0.2720 0.6302 0.7010
0.4079 0.8915 0.6762
0.1664 0.4111 0.4247
0.6057 0.7660 0.1680
0.9754 0.0446 0.2840
0.5526 0.2000 0.4455
0.6105 0.0976 0.0498
0.3488 0.5721 0.4592
0.0526 0.8000 0.0545
0.1805 0.2419 0.0791
0.9079 0.1085 0.8238
0.3943 0.2340 0.8320
0.1057 0.2340 0.3320
0.4550 0.3800 0.2679
0.4474 0.8000 0.5545
0.6282 0.5662 0.9238
0.5246 0.0446 0.7840
0.7534 0.9463 0.2098
0.1512 0.5721 0.9592
0.5450 0.6200 0.7321
0.0450 0.3800 0.7679
0.1105 0.9024 0.4502
0.8895 0.0976 0.5498
0.8195 0.7581 0.9209
0.8336 0.5889 0.5753
0.0246 0.9554 0.7160
0.4754 0.9554 0.2160
0.1282 0.4338 0.5762
0.8488 0.4279 0.0408
0.3718 0.4338 0.0762
0.9474 0.2000 0.9455
0.7280 0.3698 0.2990
0.3195 0.2419 0.5791
0.2280 0.6302 0.2010
0.7720 0.3698 0.7990
0.7466 0.9463 0.7098
0.5921 0.1085 0.3238
0.2534 0.0537 0.2902
0.2466 0.0537 0.7902
0.9550 0.6200 0.2321
0.3336 0.4111 0.9247
0.6805 0.7581 0.4209
0.4460 0.8382 0.4030
0.4413 0.6553 0.1040
0.5587 0.3447 0.8960
0.5540 0.1618 0.5970
0.0540 0.8382 0.9030
0.9413 0.3447 0.3960
0.0587 0.6553 0.6040
0.9460 0.1618 0.0970
0.4049 0.2314 0.2130
0.2658 0.0060 0.1830
0.7342 0.9940 0.8170
0.5951 0.7686 0.7870
0.2649 0.3957 0.3199
0.0951 0.2314 0.7130
0.2351 0.3957 0.8199
0.9049 0.7686 0.2870
0.2342 0.0060 0.6830
0.7351 0.6043 0.6801
0.7649 0.6043 0.1801
0.7658 0.9940 0.3170
```

No. 2
Computed, not measured: a relaxed CsTaPS6 crystal at the PBE level of DFT.

## Properties
**Space group**: P2_1/c
**ρ**: 3.448 g/cm3
**E_form**: -1.105 eV/atom
**Crystal system**: monoclinic

```
CsTaPS6
1.0
13.2880 0.0000 0.0000
0.0000 8.9404 0.0000
0.0000 2.8467 17.4205
P Cs S Ta
8 8 48 8
direct
0.2446 0.7792 0.4934
0.2370 0.2968 0.6797
0.7554 0.2208 0.5066
0.2630 0.2968 0.1797
0.7630 0.7032 0.3203
0.7370 0.7032 0.8203
0.2554 0.7792 0.9934
0.7446 0.2208 0.0066
0.8909 0.3096 0.7191
0.3909 0.6904 0.7809
0.6091 0.3096 0.2191
0.4382 0.8415 0.1765
0.1091 0.6904 0.2809
0.5618 0.1585 0.8235
0.9382 0.1585 0.3235
0.0618 0.8415 0.6765
0.8411 0.6053 0.2393
0.1434 0.2506 0.5943
0.0534 0.0225 0.8422
0.8436 0.6649 0.5986
0.2933 0.1093 0.7513
0.7933 0.8907 0.7487
0.2998 0.8592 0.5838
0.3458 0.6492 0.4408
0.1542 0.6492 0.9408
0.1855 0.9534 0.4126
0.6349 0.3855 0.9805
0.1589 0.3947 0.7607
0.1531 0.4286 0.1236
0.7998 0.1408 0.9162
0.3581 0.1547 0.5034
0.3469 0.4286 0.6236
0.8566 0.7494 0.4057
0.3436 0.3351 0.9014
0.6855 0.0466 0.0874
0.3411 0.3947 0.2607
0.1564 0.3351 0.4014
0.6542 0.3508 0.5592
0.2002 0.8592 0.0838
0.3145 0.9534 0.9126
0.7067 0.8907 0.2487
0.8469 0.5714 0.8764
0.3566 0.2506 0.0943
0.6419 0.8453 0.4966
0.8651 0.3855 0.4805
0.4466 0.0225 0.3422
0.3651 0.6145 0.0195
0.6531 0.5714 0.3764
0.1419 0.1547 0.0034
0.5817 0.6595 0.5691
0.8458 0.3508 0.0592
0.6589 0.6053 0.7393
0.8581 0.8453 0.9966
0.2067 0.1093 0.2513
0.9183 0.6595 0.0691
0.4183 0.3405 0.4309
0.8145 0.0466 0.5874
0.7002 0.1408 0.4162
0.0817 0.3405 0.9309
0.6434 0.7494 0.9057
0.5534 0.9775 0.6578
0.6564 0.6649 0.0986
0.1349 0.6145 0.5195
0.9466 0.9775 0.1578
0.2586 0.4082 0.4924
0.8149 0.8390 0.1367
0.3149 0.1610 0.3633
0.7586 0.5918 0.0076
0.6851 0.8390 0.6367
0.7414 0.5918 0.5076
0.2414 0.4082 0.9924
0.1851 0.1610 0.8633
```

No. 3
Computed, not measured: a relaxed BiP4O12 crystal at the PBE level of DFT.

## Properties
**Space group**: C2/c
**ρ**: 3.775 g/cm3
**Distance to the lowest polymorph of the same formula**: 0 meV/atom
**E_form**: -2.384 eV/atom
**Crystal system**: monoclinic

```
BiP4O12
1.0
-2.6453 -1.3053 8.4651
-2.5065 -7.3173 4.5315
5.6831 -4.1441 6.5341
O P Bi
24 8 2
direct
0.0244 0.2423 0.4737
0.8189 0.4187 0.8091
0.9966 0.8661 0.7155
0.5778 0.5542 0.5670
0.5813 0.1811 0.6909
0.4847 0.1994 0.2389
0.4187 0.8189 0.3091
0.1339 0.0034 0.7845
0.8006 0.5153 0.2611
0.8661 0.9966 0.2155
0.1811 0.5813 0.1909
0.5542 0.5778 0.0670
0.2423 0.0244 0.9737
0.9756 0.7577 0.5263
0.4222 0.4458 0.4330
0.0034 0.1339 0.2845
0.5153 0.8006 0.7611
0.1994 0.4847 0.7389
0.6842 0.8082 0.3476
0.7577 0.9756 0.0263
0.8082 0.6842 0.8476
0.4458 0.4222 0.9330
0.3158 0.1918 0.6524
0.1918 0.3158 0.1524
0.0086 0.2840 0.3055
0.7160 0.9914 0.1945
0.9914 0.7160 0.6945
0.6059 0.6715 0.3807
0.2840 0.0086 0.8055
0.3285 0.3941 0.1193
0.6715 0.6059 0.8807
0.3941 0.3285 0.6193
0.7935 0.2065 0.7500
0.2065 0.7935 0.2500
```

No. 4
Computed, not measured: a relaxed NdSiPt3 crystal at the PBE level of DFT.

## Properties
**Space group**: P4mm
**ρ**: 13.467 g/cm3
**E_form**: -1.055 eV/atom
**Crystal system**: tetragonal

```
NdSiPt3
1.0
-2.7329 2.4202 -1.9154
-3.0493 -2.5129 1.1756
-0.6365 2.9280 4.6078
Pt Si Nd
3 1 1
direct
0.5000 0.0000 0.1981
0.0000 0.0000 0.5543
0.0000 0.5000 0.1981
0.0000 0.0000 0.9725
0.5000 0.5000 0.6852
```

No. 5
Computed, not measured: a relaxed Mn3ZnC crystal at the PBE level of DFT.

## Properties
**Space group**: Pm-3m
**ρ**: 6.910 g/cm3
**Distance to the lowest polymorph of the same formula**: 0 meV/atom
**E_form**: -0.031 eV/atom
**Crystal system**: cubic

```
Mn3ZnC
1.0
3.8755 0.0000 0.0000
0.0000 3.8755 0.0000
0.0000 0.0000 3.8755
Mn C Zn
3 1 1
direct
0.5000 0.0000 0.5000
0.5000 0.5000 0.0000
0.0000 0.5000 0.5000
0.5000 0.5000 0.5000
0.0000 0.0000 0.0000
```

No. 6
Computed, not measured: a relaxed HoTmO3 crystal at the PBE level of DFT.

## Properties
**Space group**: Pnma
**ρ**: 9.236 g/cm3
**E_form**: -3.967 eV/atom
**Crystal system**: orthorhombic

```
HoTmO3
1.0
-2.0125 5.0924 1.2057
-4.3870 -0.8286 -3.8230
-4.6702 -3.2830 6.0707
Ho O Tm
4 12 4
direct
0.5181 0.5537 0.2500
0.0181 0.9463 0.7500
0.4819 0.4463 0.7500
0.9819 0.0537 0.2500
0.1487 0.4224 0.2500
0.6825 0.3142 0.0783
0.8175 0.8142 0.4217
0.6487 0.0776 0.7500
0.3513 0.9224 0.2500
0.1825 0.1858 0.9217
0.1825 0.1858 0.5783
0.6825 0.3142 0.4217
0.3175 0.6858 0.9217
0.3175 0.6858 0.5783
0.8513 0.5776 0.7500
0.8175 0.8142 0.0783
0.5000 0.0000 0.0000
0.0000 0.5000 0.5000
0.5000 0.0000 0.5000
0.0000 0.5000 0.0000
```

No. 7
Computed, not measured: a relaxed GaBi4Cl4 crystal at the PBE level of DFT.

## Properties
**Space group**: P6_3
**ρ**: 5.335 g/cm3
**E_form**: -0.923 eV/atom
**Crystal system**: hexagonal

```
GaBi4Cl4
1.0
9.1483 -15.8453 0.0000
9.1483 15.8453 0.0000
0.0000 0.0000 13.4938
Bi Ga Cl
48 12 48
direct
0.5740 0.0419 0.1400
0.9490 0.2643 0.3722
0.4679 0.4260 0.1400
0.7691 0.1431 0.1494
0.0419 0.4679 0.6400
0.6639 0.5390 0.5260
0.3740 0.2309 0.1494
0.4610 0.4177 0.9101
0.1817 0.9803 0.5391
0.9457 0.2728 0.6922
0.4177 0.9567 0.4101
0.6729 0.9457 0.1922
0.2728 0.3271 0.1922
0.5823 0.0433 0.9101
0.3361 0.4610 0.0260
0.2309 0.8569 0.6494
0.3152 0.0510 0.3722
0.8569 0.6260 0.1494
0.7357 0.6848 0.3722
0.5390 0.8750 0.0260
0.7986 0.8183 0.5391
0.3678 0.2226 0.9208
0.6322 0.7774 0.4208
0.4260 0.9581 0.6400
0.9567 0.5390 0.9101
0.0433 0.4610 0.4101
0.5321 0.5740 0.6400
0.1431 0.3740 0.6494
0.3271 0.0543 0.6922
0.2014 0.1817 0.0391
0.1250 0.6639 0.0260
0.1452 0.3678 0.4208
0.5390 0.5823 0.4101
0.7774 0.1452 0.9208
0.0543 0.7272 0.1922
0.2643 0.3152 0.8722
0.4610 0.1250 0.5260
0.0197 0.2014 0.5391
0.2226 0.8548 0.4208
0.9803 0.7986 0.0391
0.9581 0.5321 0.1400
0.6848 0.9490 0.8722
0.0510 0.7357 0.8722
0.8548 0.6322 0.9208
0.6260 0.7691 0.6494
0.7272 0.6729 0.6922
0.8750 0.3361 0.5260
0.8183 0.0197 0.0391
0.6395 0.6947 0.0076
0.6667 0.3333 0.7322
0.3333 0.6667 0.2322
0.9447 0.6395 0.5076
0.0553 0.3605 0.0076
0.6667 0.3333 0.1993
0.0000 0.0000 0.2914
0.3333 0.6667 0.6993
0.0000 0.0000 0.7914
0.3053 0.9447 0.0076
0.6947 0.0553 0.5076
0.3605 0.3053 0.5076
0.3333 0.6667 0.5379
0.7115 0.1168 0.6526
0.1168 0.4053 0.1526
0.3404 0.5559 0.2862
0.9782 0.8768 0.7373
0.4441 0.7844 0.2862
0.3467 0.4193 0.5164
0.6753 0.1316 0.3962
0.8832 0.5947 0.6526
0.2885 0.8832 0.1526
0.4449 0.7839 0.7538
0.6610 0.4449 0.2538
0.7839 0.3390 0.2538
0.1232 0.1014 0.7373
0.2156 0.6596 0.2862
0.0375 0.2369 0.9657
0.8006 0.0375 0.4657
0.3247 0.8684 0.8962
0.0218 0.1232 0.2373
0.1014 0.9782 0.2373
0.3333 0.6667 0.0690
0.4193 0.0726 0.0164
0.5807 0.9274 0.5164
0.1994 0.9625 0.9657
0.9274 0.3467 0.0164
0.4563 0.3247 0.3962
0.0000 0.0000 0.9556
0.0726 0.6533 0.5164
0.5437 0.6753 0.8962
0.2369 0.1994 0.4657
0.5947 0.7115 0.1526
0.0000 0.0000 0.4556
0.6667 0.3333 0.0379
0.5551 0.2161 0.2538
0.3390 0.5551 0.7538
0.4053 0.2885 0.6526
0.1316 0.4563 0.8962
0.7631 0.8006 0.9657
0.8986 0.0218 0.7373
0.5559 0.2156 0.7862
0.8768 0.8986 0.2373
0.6596 0.4441 0.7862
0.9625 0.7631 0.4657
0.2161 0.6610 0.7538
0.6533 0.5807 0.0164
0.7844 0.3404 0.7862
0.8684 0.5437 0.3962
0.6667 0.3333 0.5690
```

No. 8
Computed, not measured: a relaxed Zr3Ta crystal at the PBE level of DFT.

## Properties
**Space group**: P6_3/mmc
**ρ**: 8.511 g/cm3
**Distance to the lowest polymorph of the same formula**: 0 meV/atom
**E_form**: 0.153 eV/atom
**Crystal system**: hexagonal

```
Zr3Ta
1.0
3.1530 -5.4612 0.0000
3.1530 5.4612 0.0000
0.0000 0.0000 5.1510
Zr Ta
6 2
direct
0.3424 0.1712 0.7500
0.6576 0.8288 0.2500
0.1712 0.8288 0.2500
0.8288 0.1712 0.7500
0.8288 0.6576 0.7500
0.1712 0.3424 0.2500
0.6667 0.3333 0.2500
0.3333 0.6667 0.7500
```

No. 9
Computed, not measured: a relaxed Sr3MgTi2O7 crystal at the PBE level of DFT.

## Properties
**Space group**: Cm
**ρ**: 3.918 g/cm3
**Distance to the lowest polymorph of the same formula**: 37 meV/atom
**E_form**: -3.092 eV/atom
**Crystal system**: monoclinic

```
Sr3MgTi2O7
1.0
3.7837 0.0137 -0.6734
-0.1200 3.7818 -0.6734
0.8525 0.8832 14.3445
O Ti Sr Mg
7 2 3 1
direct
0.0497 0.5491 0.1329
0.9783 0.9783 0.9710
0.9095 0.4091 0.8134
0.5491 0.0497 0.1329
0.2482 0.2482 0.4995
0.8422 0.8422 0.6619
0.4091 0.9095 0.8134
0.0345 0.0345 0.0995
0.8997 0.8997 0.7921
0.7781 0.7781 0.4660
0.3438 0.3438 0.6621
0.4616 0.4616 0.9339
0.5796 0.5796 0.2028
```

> What is the E_form in the third record?

-2.384 eV/atom

> The highest E_form belongs to which entry?

Zr3Ta

> The lowest E_form belongs to which entry?

HoTmO3